Entry 1:
DFT (PBE) results for SnSO4 after structural relaxation.

The structure in POSCAR format:
```
SnSO4
1.0
5.458 0.000 0.000
-0.158 7.251 0.000
-0.165 -0.017 9.142
Sn S O
4 4 16
direct
0.698 0.285 0.716
0.302 0.715 0.284
0.211 0.780 0.785
0.789 0.220 0.215
0.230 0.318 0.925
0.269 0.183 0.426
0.731 0.817 0.574
0.770 0.682 0.075
0.769 0.979 0.675
0.508 0.708 0.618
0.748 0.528 0.185
0.047 0.301 0.404
0.953 0.699 0.596
0.998 0.794 0.109
0.252 0.472 0.815
0.294 0.130 0.580
0.231 0.021 0.325
0.492 0.292 0.382
0.002 0.206 0.891
0.773 0.618 0.924
0.450 0.199 0.901
0.550 0.801 0.099
0.227 0.382 0.076
0.706 0.870 0.420
```

Computed properties:
Space-group type ... No. 2
Formation enthalpy at 0 K ... -1832 meV/atom
VASP energy ... -6.031 eV per atom
E above lowest polymorph ... 1 kJ/mol of formula units

---

Entry 2:
DFT (PBE) results for ZnSnS3O12 after structural relaxation.

The structure in POSCAR format:
```
ZnSnS3O12
1.0
-3.273 6.287 -5.097
2.196 -7.713 -3.448
-20.864 -7.689 3.912
Zn Sn S O
6 6 18 72
direct
0.000 0.000 0.354
0.000 0.000 0.854
0.667 0.333 0.687
0.667 0.333 0.187
0.333 0.667 0.020
0.333 0.667 0.520
0.000 0.000 0.648
0.000 0.000 0.148
0.667 0.333 0.981
0.667 0.333 0.481
0.333 0.667 0.314
0.333 0.667 0.814
0.293 0.003 0.251
0.710 0.707 0.251
0.997 0.290 0.251
0.293 0.290 0.751
0.997 0.707 0.751
0.710 0.003 0.751
0.960 0.337 0.585
0.377 0.040 0.585
0.663 0.623 0.585
0.960 0.623 0.085
0.663 0.040 0.085
0.377 0.337 0.085
0.627 0.670 0.918
0.043 0.373 0.918
0.330 0.957 0.918
0.627 0.957 0.418
0.330 0.373 0.418
0.043 0.670 0.418
0.211 0.030 0.303
0.819 0.789 0.303
0.970 0.181 0.303
0.211 0.181 0.803
0.970 0.789 0.803
0.819 0.030 0.803
0.783 0.962 0.696
0.179 0.217 0.696
0.038 0.821 0.696
0.783 0.821 0.196
0.038 0.217 0.196
0.179 0.962 0.196
0.877 0.363 0.637
0.486 0.123 0.637
0.637 0.514 0.637
0.877 0.514 0.137
0.637 0.123 0.137
0.486 0.363 0.137
0.450 0.295 0.030
0.846 0.550 0.030
0.705 0.154 0.030
0.450 0.154 0.530
0.705 0.550 0.530
0.846 0.295 0.530
0.544 0.696 0.970
0.152 0.456 0.970
0.304 0.848 0.970
0.544 0.848 0.470
0.304 0.456 0.470
0.152 0.696 0.470
0.116 0.629 0.363
0.512 0.884 0.363
0.371 0.488 0.363
0.116 0.488 0.863
0.371 0.884 0.863
0.512 0.629 0.863
0.023 0.823 0.408
0.800 0.977 0.408
0.177 0.200 0.408
0.023 0.200 0.908
0.177 0.977 0.908
0.800 0.823 0.908
0.974 0.171 0.590
0.197 0.026 0.590
0.829 0.803 0.590
0.974 0.803 0.090
0.829 0.026 0.090
0.197 0.171 0.090
0.689 0.156 0.742
0.467 0.311 0.742
0.844 0.533 0.742
0.689 0.533 0.242
0.844 0.311 0.242
0.467 0.156 0.242
0.641 0.505 0.924
0.864 0.359 0.924
0.495 0.136 0.924
0.641 0.136 0.424
0.495 0.359 0.424
0.864 0.505 0.424
0.356 0.490 0.075
0.134 0.644 0.075
0.510 0.866 0.075
0.356 0.866 0.575
0.510 0.644 0.575
0.134 0.490 0.575
0.307 0.838 0.257
0.531 0.693 0.257
0.162 0.469 0.257
0.307 0.469 0.757
0.162 0.693 0.757
0.531 0.838 0.757
```

Computed properties:
Formation enthalpy at 0 K ... -1841 meV/atom
VASP energy ... -5.889 eV per atom

---

Entry 3:
DFT (PBE) results for SrS2O8 after structural relaxation.

The structure in POSCAR format:
```
SrS2O8
1.0
-7.297 1.000 -0.881
-0.393 -10.208 -8.334
-2.560 -8.938 11.068
Sr S O
8 16 64
direct
0.650 0.433 0.310
0.850 0.933 0.690
0.150 0.567 0.190
0.350 0.067 0.810
0.350 0.567 0.690
0.150 0.067 0.310
0.850 0.433 0.810
0.650 0.933 0.190
0.664 0.132 0.335
0.836 0.632 0.665
0.164 0.868 0.165
0.336 0.368 0.835
0.336 0.868 0.665
0.164 0.368 0.335
0.836 0.132 0.835
0.664 0.632 0.165
0.855 0.355 0.073
0.645 0.855 0.927
0.355 0.645 0.427
0.145 0.145 0.573
0.145 0.645 0.927
0.355 0.145 0.073
0.645 0.355 0.573
0.855 0.855 0.427
0.623 0.240 0.319
0.877 0.740 0.681
0.123 0.760 0.181
0.377 0.260 0.819
0.377 0.760 0.681
0.123 0.260 0.319
0.877 0.240 0.819
0.623 0.740 0.181
0.001 0.431 0.320
0.499 0.931 0.680
0.501 0.569 0.180
0.999 0.069 0.820
0.999 0.569 0.680
0.501 0.069 0.320
0.499 0.431 0.820
0.001 0.931 0.180
0.806 0.094 0.270
0.694 0.594 0.730
0.306 0.906 0.230
0.194 0.406 0.770
0.194 0.906 0.730
0.306 0.406 0.270
0.694 0.094 0.770
0.806 0.594 0.230
0.735 0.123 0.431
0.765 0.623 0.569
0.235 0.877 0.069
0.265 0.377 0.931
0.265 0.877 0.569
0.235 0.377 0.431
0.765 0.123 0.931
0.735 0.623 0.069
0.707 0.362 0.143
0.793 0.862 0.857
0.207 0.638 0.357
0.293 0.138 0.643
0.293 0.638 0.857
0.207 0.138 0.143
0.793 0.362 0.643
0.707 0.862 0.357
0.012 0.414 0.105
0.488 0.914 0.895
0.512 0.586 0.395
0.988 0.086 0.605
0.988 0.586 0.895
0.512 0.086 0.105
0.488 0.414 0.605
0.012 0.914 0.395
0.706 0.389 0.481
0.794 0.889 0.519
0.206 0.611 0.019
0.294 0.111 0.981
0.294 0.611 0.519
0.206 0.111 0.481
0.794 0.389 0.981
0.706 0.889 0.019
0.905 0.245 0.066
0.595 0.745 0.934
0.405 0.755 0.434
0.095 0.255 0.566
0.095 0.755 0.934
0.405 0.255 0.066
0.595 0.245 0.566
0.905 0.745 0.434
```

Computed properties:
Space-group type ... No. 61
Formation enthalpy at 0 K ... -1972 meV/atom
VASP energy ... -5.977 eV per atom

---

Entry 4:
DFT (PBE) results for Sr4S3O after structural relaxation.

The structure in POSCAR format:
```
Sr4S3O
1.0
5.903 0.000 0.000
0.000 5.903 0.000
0.000 0.000 5.903
Sr S O
4 3 1
direct
0.000 0.000 0.500
0.500 0.500 0.500
0.500 0.000 0.000
0.000 0.500 0.000
0.500 0.500 0.000
0.500 0.000 0.500
0.000 0.500 0.500
0.000 0.000 0.000
```

Computed properties:
Space-group type ... No. 221
Formation enthalpy at 0 K ... -2422 meV/atom
VASP energy ... -5.162 eV per atom

---

Entry 5:
DFT (PBE) results for SrS2O6 after structural relaxation.

The structure in POSCAR format:
```
SrS2O6
1.0
5.039 0.160 1.948
1.652 7.166 3.884
0.379 1.852 10.363
Sr S O
2 4 12
direct
0.883 0.768 0.015
0.117 0.232 0.985
0.577 0.892 0.291
0.423 0.108 0.709
0.691 0.541 0.453
0.309 0.459 0.547
0.218 0.589 0.856
0.782 0.411 0.144
0.137 0.073 0.813
0.863 0.927 0.187
0.416 0.922 0.187
0.584 0.078 0.813
0.501 0.565 0.823
0.499 0.435 0.177
0.383 0.637 0.085
0.617 0.363 0.915
0.942 0.926 0.538
0.058 0.074 0.462
```

Computed properties:
Space-group type ... No. 2
Formation enthalpy at 0 K ... -920 meV/atom
VASP energy ... -5.326 eV per atom